Computed, not measured: a geometry-optimized Fe3Mo3C structure at the PBE-GGA level of DFT.

Properties
Calculated volume   12.10 A^3/atom
Energy of formation from the pure elements   -36 meV/atom
Magnetization   0.50 μB/f.u.

a = 11.0648 Å, b = 11.0648 Å, c = 11.0648 Å
α = 90.00°, β = 90.00°, γ = 90.00°
Space group Fd-3m (No. 227, origin choice 2)
One atom of each set of equivalent atoms:
Fe (0.0000, 0.0000, 0.0000) (multiplicity 16)
Fe (0.0483, 0.0483, 0.2017) (multiplicity 32)
Mo (0.0780, 0.3750, 0.8750) (multiplicity 48)
C (0.0000, 0.0000, 0.5000) (multiplicity 16)

=====

Computed, not measured: a geometry-optimized FeC8N6 structure at the PBE-GGA level of DFT.

Properties
Calculated volume   12.16 A^3/atom
Energy of formation from the pure elements   268 meV/atom
Magnetization   0.00 μB/f.u.

a = 7.1181 Å, b = 5.1213 Å, c = 10.0042 Å
α = 90.00°, β = 90.00°, γ = 90.00°
Space group Pmna (No. 53)
One atom of each set of equivalent atoms:
Fe (0.0000, 0.0000, 0.0000) (multiplicity 2)
C (0.0000, 0.3782, 0.2415) (multiplicity 4)
C (0.0000, 0.4234, 0.6611) (multiplicity 4)
C (0.1662, 0.3076, 0.6146) (multiplicity 8)
N (0.0000, 0.2185, 0.1575) (multiplicity 4)
N (0.1993, 0.2045, 0.9272) (multiplicity 8)

=====

Computed, not measured: a geometry-optimized FeC3N3 structure at the PBE-GGA level of DFT.

Properties
Calculated volume   17.30 A^3/atom
Energy of formation from the pure elements   170 meV/atom
Magnetization   1.00 μB/f.u.

a = 9.8941 Å, b = 9.8941 Å, c = 9.8941 Å
α = 90.00°, β = 90.00°, γ = 90.00°
Space group Fm-3m (No. 225)
One atom of each set of equivalent atoms:
Fe (0.0000, 0.0000, 0.0000) (multiplicity 4)
Fe (0.0000, 0.0000, 0.5000) (multiplicity 4)
C (0.0000, 0.0000, 0.1913) (multiplicity 24)
N (0.0000, 0.0000, 0.3096) (multiplicity 24)

=====

Computed, not measured: a geometry-optimized Fe2C3N6 structure at the PBE-GGA level of DFT.

Properties
Calculated volume   10.28 A^3/atom
Energy of formation from the pure elements   222 meV/atom
Relative energy among the computed polymorphs   0.1737 eV per atom
Magnetization   1.90 μB/f.u.

a = 5.2275 Å, b = 5.2275 Å, c = 14.3339 Å
α = 90.00°, β = 90.00°, γ = 120.00°
Space group R32 (No. 155, hexagonal axes)
One atom of each set of equivalent atoms:
Fe (0.0000, 0.0000, 0.1719) (multiplicity 6)
C (0.0000, 0.6900, 0.0000) (multiplicity 9)
N (0.0027, 0.5974, 0.4165) (multiplicity 18)

=====

Computed, not measured: a geometry-optimized FeC6N6 structure at the PBE-GGA level of DFT.

Properties
Calculated volume   20.85 A^3/atom
Energy of formation from the pure elements   988 meV/atom
Relative energy among the computed polymorphs   0.0000 eV per atom
Magnetization   4.00 μB/f.u.

a = 6.4792 Å, b = 11.9102 Å, c = 7.3019 Å
α = 90.00°, β = 105.79°, γ = 90.00°
Space group P2_1/c (No. 14)
One atom of each set of equivalent atoms:
Fe (0.0000, 0.0000, 0.0000) (multiplicity 2)
C (0.1276, 0.0476, 0.8063) (multiplicity 4)
C (0.1835, 0.6294, 0.5407) (multiplicity 4)
C (0.2163, 0.0754, 0.1881) (multiplicity 4)
N (0.2044, 0.0778, 0.6856) (multiplicity 4)
N (0.2900, 0.7112, 0.5657) (multiplicity 4)
N (0.3470, 0.1220, 0.3088) (multiplicity 4)

=====

Computed, not measured: a geometry-optimized FeC6N6 structure at the PBE-GGA level of DFT.

Properties
Calculated volume   18.76 A^3/atom
Energy of formation from the pure elements   991 meV/atom
Relative energy among the computed polymorphs   0.0032 eV per atom
Magnetization   4.00 μB/f.u.

a = 6.8433 Å, b = 6.8433 Å, c = 6.0123 Å
α = 90.00°, β = 90.00°, γ = 120.00°
Space group P-31m (No. 162)
One atom of each set of equivalent atoms:
Fe (0.0000, 0.0000, 0.0000) (multiplicity 1)
C (0.0000, 0.2247, 0.1880) (multiplicity 6)
N (0.0000, 0.3632, 0.3058) (multiplicity 6)

=====

Computed, not measured: a geometry-optimized Fe2C3N6 structure at the PBE-GGA level of DFT.

Properties
Calculated volume   10.10 A^3/atom
Energy of formation from the pure elements   48 meV/atom
Relative energy among the computed polymorphs   0.0000 eV per atom
Magnetization   2.00 μB/f.u.

a = 5.2697 Å, b = 5.2697 Å, c = 27.7087 Å
α = 90.00°, β = 90.00°, γ = 120.00°
Space group R-3c (No. 167, hexagonal axes)
One atom of each set of equivalent atoms:
Fe (0.0000, 0.0000, 0.1656) (multiplicity 12)
C (0.0000, 0.3225, 0.2500) (multiplicity 18)
N (0.0061, 0.3838, 0.5397) (multiplicity 36)

=====

Computed, not measured: a geometry-optimized Fe4CN4 structure at the PBE-GGA level of DFT.

Properties
Calculated volume   8.51 A^3/atom
Energy of formation from the pure elements   57 meV/atom
Magnetization   4.92 μB/f.u.

a = 9.9830 Å, b = 2.7085 Å, c = 11.3340 Å
α = 90.00°, β = 90.00°, γ = 90.00°
Space group Pnma (No. 62)
One atom of each set of equivalent atoms:
Fe (0.0627, 0.2500, 0.1493) (multiplicity 4)
Fe (0.1144, 0.7500, 0.3612) (multiplicity 4)
Fe (0.1166, 0.2500, 0.5729) (multiplicity 4)
Fe (0.1826, 0.7500, 0.7679) (multiplicity 4)
C (0.1392, 0.2500, 0.9954) (multiplicity 4)
N (0.0211, 0.7500, 0.6697) (multiplicity 4)
N (0.0756, 0.2500, 0.8881) (multiplicity 4)
N (0.1970, 0.7500, 0.2151) (multiplicity 4)
N (0.2256, 0.7500, 0.4937) (multiplicity 4)

=====

Computed, not measured: a geometry-optimized FeNi2C6N6 structure at the PBE-GGA level of DFT.

Properties
Calculated volume   16.82 A^3/atom
Energy of formation from the pure elements   530 meV/atom
Magnetization   1.30 μB/f.u.

a = 10.0299 Å, b = 10.0299 Å, c = 10.0299 Å
α = 90.00°, β = 90.00°, γ = 90.00°
Space group F-43m (No. 216)
One atom of each set of equivalent atoms:
Fe (0.0000, 0.0000, 0.0000) (multiplicity 4)
Ni (0.0000, 0.0000, 0.5000) (multiplicity 4)
Ni (0.2500, 0.2500, 0.7500) (multiplicity 4)
C (0.0000, 0.0000, 0.1873) (multiplicity 24)
N (0.0000, 0.0000, 0.3044) (multiplicity 24)

=====

Computed, not measured: a geometry-optimized Sm2Fe17CN structure at the PBE-GGA level of DFT.

Properties
Calculated volume   12.86 A^3/atom
Energy of formation from the pure elements   -106 meV/atom

a = 6.4782 Å, b = 6.5037 Å, c = 6.5215 Å
α = 83.85°, β = 83.62°, γ = 83.53°
Space group P-1 (No. 2)
One atom of each set of equivalent atoms:
Sm (0.1594, 0.1506, 0.1616) (multiplicity 2)
Fe (0.0000, 0.5000, 0.5000) (multiplicity 1)
Fe (0.1554, 0.6455, 0.1599) (multiplicity 2)
Fe (0.1563, 0.1579, 0.6464) (multiplicity 2)
Fe (0.2124, 0.7859, 0.5015) (multiplicity 2)
Fe (0.2137, 0.5015, 0.7849) (multiplicity 2)
Fe (0.3523, 0.8428, 0.8403) (multiplicity 2)
Fe (0.4042, 0.4046, 0.4051) (multiplicity 2)
Fe (0.4991, 0.2174, 0.7830) (multiplicity 2)
Fe (0.5000, 0.0000, 0.5000) (multiplicity 1)
Fe (0.5000, 0.5000, 0.0000) (multiplicity 1)
C (0.0000, 0.5000, 0.0000) (multiplicity 1)
N (0.5000, 0.0000, 0.0000) (multiplicity 1)

=====

Computed, not measured: a geometry-optimized Tb2Fe17CN structure at the PBE-GGA level of DFT.

Properties
Calculated volume   12.68 A^3/atom
Energy of formation from the pure elements   -127 meV/atom
Magnetization   37.16 μB/f.u.

a = 6.4437 Å, b = 6.4732 Å, c = 6.5073 Å
α = 83.69°, β = 83.45°, γ = 83.01°
Space group P-1 (No. 2)
One atom of each set of equivalent atoms:
Tb (0.1613, 0.1529, 0.1602) (multiplicity 2)
Fe (0.0000, 0.5000, 0.5000) (multiplicity 1)
Fe (0.1550, 0.6474, 0.1594) (multiplicity 2)
Fe (0.1558, 0.1573, 0.6476) (multiplicity 2)
Fe (0.2083, 0.7899, 0.5016) (multiplicity 2)
Fe (0.2134, 0.5019, 0.7849) (multiplicity 2)
Fe (0.3507, 0.8434, 0.8408) (multiplicity 2)
Fe (0.4041, 0.4047, 0.4047) (multiplicity 2)
Fe (0.5000, 0.0000, 0.5000) (multiplicity 1)
Fe (0.4996, 0.2171, 0.7830) (multiplicity 2)
Fe (0.5000, 0.5000, 0.0000) (multiplicity 1)
C (0.0000, 0.5000, 0.0000) (multiplicity 1)
N (0.5000, 0.0000, 0.0000) (multiplicity 1)

=====

Computed, not measured: a geometry-optimized Tl4FeC6N6 structure at the PBE-GGA level of DFT.

Properties
Calculated volume   21.76 A^3/atom
Energy of formation from the pure elements   51 meV/atom
Magnetization   0.00 μB/f.u.

a = 7.3616 Å, b = 7.8087 Å, c = 13.4831 Å
α = 105.20°, β = 90.53°, γ = 97.94°
Space group P-1 (No. 2)
One atom of each set of equivalent atoms:
Tl (0.1196, 0.4673, 0.1342) (multiplicity 2)
Tl (0.2434, 0.9326, 0.5683) (multiplicity 2)
Tl (0.2823, 0.0374, 0.9183) (multiplicity 2)
Tl (0.3505, 0.4754, 0.6479) (multiplicity 2)
Fe (0.2268, 0.0000, 0.2477) (multiplicity 2)
C (0.0431, 0.1478, 0.2564) (multiplicity 2)
C (0.0730, 0.8488, 0.3108) (multiplicity 2)
C (0.1394, 0.8723, 0.1136) (multiplicity 2)
C (0.3208, 0.1316, 0.3800) (multiplicity 2)
C (0.3761, 0.1519, 0.1825) (multiplicity 2)
C (0.4177, 0.8577, 0.2458) (multiplicity 2)
N (0.0205, 0.2407, 0.6450) (multiplicity 2)
N (0.0706, 0.7562, 0.7402) (multiplicity 2)
N (0.0875, 0.7975, 0.0273) (multiplicity 2)
N (0.3847, 0.2040, 0.4642) (multiplicity 2)
N (0.4585, 0.2244, 0.7514) (multiplicity 2)
N (0.4638, 0.2409, 0.1358) (multiplicity 2)

=====

Copy entry 7 word for word.
Computed, not measured: a geometry-optimized Fe2C3N6 structure at the PBE-GGA level of DFT.

Properties
Calculated volume   10.10 A^3/atom
Energy of formation from the pure elements   48 meV/atom
Relative energy among the computed polymorphs   0.0000 eV per atom
Magnetization   2.00 μB/f.u.

a = 5.2697 Å, b = 5.2697 Å, c = 27.7087 Å
α = 90.00°, β = 90.00°, γ = 120.00°
Space group R-3c (No. 167, hexagonal axes)
One atom of each set of equivalent atoms:
Fe (0.0000, 0.0000, 0.1656) (multiplicity 12)
C (0.0000, 0.3225, 0.2500) (multiplicity 18)
N (0.0061, 0.3838, 0.5397) (multiplicity 36)

=====

Q: Among the records above, which one has the highest energy of formation from the pure elements?
A: number 6

=====

Q: The highest calculated volume belongs to which entry?
A: Tl4FeC6N6